No. 1
A relaxed structure of LiNbO2F. Source: the Materials Project database, functional GGA-PBE.

a = 5.335 Å, b = 5.335 Å, c = 5.603 Å
α = 117.01°, β = 117.01°, γ = 58.93°
Element x y z (fractional)
Li  0.204  0.796  0.500
Li  0.796  0.204  0.000
Nb  0.463  0.955  0.142
Nb  0.955  0.463  0.642
O  0.087  0.167  0.844
O  0.167  0.087  0.344
O  0.697  0.821  0.877
O  0.821  0.697  0.377
F  0.374  0.535  0.880
F  0.535  0.374  0.380

Computed properties:
energy: -7.1806 eV per atom
space group: Cc
E_form: -2.784 eV/atom

***

No. 2
A relaxed structure of AgN. Source: the Materials Project database, functional GGA-PBE.

a = 4.097 Å, b = 4.097 Å, c = 7.139 Å
α = 90.00°, β = 90.00°, γ = 92.12°
Element x y z (fractional)
Ag  0.163  0.837  0.842
Ag  0.337  0.663  0.342
Ag  0.663  0.337  0.658
Ag  0.837  0.163  0.158
N  0.161  0.339  0.750
N  0.339  0.161  0.250
N  0.661  0.839  0.750
N  0.839  0.661  0.250

Computed properties:
energy: -3.8839 eV per atom
space group: Cmce
E_form: 1.520 eV/atom
energy above the most stable polymorph in this dataset: 100 meV per atom

***

No. 3
A relaxed structure of MgTlO3. Source: the Materials Project database, functional GGA-PBE.

a = 3.969 Å, b = 3.969 Å, c = 3.969 Å
α = 90.00°, β = 90.00°, γ = 90.00°
Element x y z (fractional)
Mg  0.000  0.000  0.000
Tl  0.500  0.500  0.500
O  0.000  0.000  0.500
O  0.000  0.500  0.000
O  0.500  0.000  0.000

Computed properties:
energy: -4.5529 eV per atom
space group: Pm-3m
E_form: -1.204 eV/atom

***

No. 4
A relaxed structure of Sr2PrSbO6. Source: the Materials Project database, functional GGA-PBE.

a = 8.531 Å, b = 8.531 Å, c = 8.531 Å
α = 90.00°, β = 90.00°, γ = 90.00°
Element x y z (fractional)
Sr  0.250  0.250  0.250
Sr  0.250  0.250  0.750
Sr  0.250  0.750  0.250
Sr  0.250  0.750  0.750
Sr  0.750  0.250  0.250
Sr  0.750  0.250  0.750
Sr  0.750  0.750  0.250
Sr  0.750  0.750  0.750
Pr  0.000  0.000  0.000
Pr  0.000  0.500  0.500
Pr  0.500  0.000  0.500
Pr  0.500  0.500  0.000
Sb  0.000  0.000  0.500
Sb  0.000  0.500  0.000
Sb  0.500  0.000  0.000
Sb  0.500  0.500  0.500
O  0.035  0.543  0.770
O  0.035  0.957  0.730
O  0.043  0.230  0.535
O  0.043  0.270  0.965
O  0.230  0.535  0.043
O  0.230  0.965  0.457
O  0.270  0.535  0.457
O  0.270  0.965  0.043
O  0.457  0.230  0.965
O  0.457  0.270  0.535
O  0.465  0.543  0.730
O  0.465  0.957  0.770
O  0.535  0.043  0.230
O  0.535  0.457  0.270
O  0.543  0.730  0.465
O  0.543  0.770  0.035
O  0.730  0.035  0.957
O  0.730  0.465  0.543
O  0.770  0.035  0.543
O  0.770  0.465  0.957
O  0.957  0.730  0.035
O  0.957  0.770  0.465
O  0.965  0.043  0.270
O  0.965  0.457  0.230

Computed properties:
energy: -6.7663 eV per atom
space group: Pn-3
E_form: -2.981 eV/atom

***

No. 5
A relaxed structure of K2DyCl5. Source: the Materials Project database, functional GGA-PBE.

a = 13.071 Å, b = 8.575 Å, c = 8.069 Å
α = 90.00°, β = 90.00°, γ = 90.00°
Element x y z (fractional)
K  0.174  0.001  0.034
K  0.174  0.499  0.034
K  0.326  0.501  0.534
K  0.326  0.999  0.534
K  0.674  0.001  0.466
K  0.674  0.499  0.466
K  0.826  0.501  0.966
K  0.826  0.999  0.966
Dy  0.003  0.750  0.574
Dy  0.497  0.250  0.074
Dy  0.503  0.750  0.926
Dy  0.997  0.250  0.426
Cl  0.013  0.750  0.911
Cl  0.080  0.041  0.654
Cl  0.080  0.459  0.654
Cl  0.165  0.750  0.366
Cl  0.196  0.250  0.331
Cl  0.304  0.750  0.831
Cl  0.335  0.250  0.866
Cl  0.420  0.541  0.154
Cl  0.420  0.959  0.154
Cl  0.487  0.250  0.411
Cl  0.513  0.750  0.589
Cl  0.580  0.041  0.846
Cl  0.580  0.459  0.846
Cl  0.665  0.750  0.134
Cl  0.696  0.250  0.169
Cl  0.804  0.750  0.669
Cl  0.835  0.250  0.634
Cl  0.920  0.541  0.346
Cl  0.920  0.959  0.346
Cl  0.987  0.250  0.089

Computed properties:
energy: -4.1663 eV per atom
space group: Pnma
E_form: -2.541 eV/atom

***

No. 6
A relaxed structure of K2MoBr4. Source: the Materials Project database, functional GGA-PBE.

a = 8.761 Å, b = 8.761 Å, c = 8.761 Å
α = 103.32°, β = 103.32°, γ = 122.63°
Element x y z (fractional)
K  0.232  0.232  0.465
K  0.232  0.768  0.000
K  0.768  0.232  0.000
K  0.768  0.768  0.535
Mo  0.366  0.366  0.000
Mo  0.634  0.634  0.000
Br  0.050  0.282  0.768
Br  0.282  0.050  0.768
Br  0.282  0.514  0.232
Br  0.486  0.718  0.768
Br  0.514  0.282  0.232
Br  0.718  0.486  0.768
Br  0.718  0.950  0.232
Br  0.950  0.718  0.232

Computed properties:
energy: -3.9996 eV per atom
space group: I4/mmm
E_form: -1.503 eV/atom

***

No. 7
A relaxed structure of Na10Ca4Si5Sn4S7O48. Source: the Materials Project database, functional GGA-PBE.

a = 9.235 Å, b = 15.994 Å, c = 23.006 Å
α = 91.19°, β = 90.26°, γ = 90.10°
Element x y z (fractional)
Na  0.000  0.000  0.000
Na  0.000  0.648  0.648
Na  0.037  0.342  0.999
Na  0.047  0.667  0.979
Na  0.055  0.003  0.310
Na  0.174  0.491  0.573
Na  0.179  0.815  0.904
Na  0.192  0.158  0.739
Na  0.197  0.163  0.240
Na  0.219  0.809  0.406
Na  0.242  0.480  0.075
Na  0.333  0.667  0.480
Na  0.334  0.003  0.811
Na  0.350  0.342  0.497
Na  0.395  0.993  0.502
Na  0.501  0.148  0.649
Na  0.554  0.502  0.312
Na  0.556  0.168  0.977
Na  0.658  0.316  0.906
Na  0.671  0.649  0.239
Na  0.674  0.991  0.573
Na  0.692  0.659  0.738
Na  0.698  0.994  0.067
Na  0.719  0.312  0.404
Na  0.833  0.168  0.478
Na  0.838  0.502  0.810
Na  0.841  0.835  0.146
Na  0.850  0.841  0.498
Na  0.888  0.154  0.147
Na  0.895  0.493  0.500
Ca  0.191  0.167  0.596
Ca  0.191  0.832  0.762
Ca  0.192  0.506  0.423
Ca  0.198  0.168  0.096
Ca  0.202  0.829  0.262
Ca  0.205  0.503  0.926
Ca  0.689  0.663  0.096
Ca  0.691  0.331  0.763
Ca  0.691  0.667  0.595
Ca  0.692  0.006  0.424
Ca  0.696  0.001  0.927
Ca  0.698  0.333  0.261
Si  0.036  0.650  0.831
Si  0.039  0.984  0.167
Si  0.041  0.317  0.495
Si  0.348  0.317  0.995
Si  0.348  0.983  0.665
Si  0.362  0.651  0.332
Si  0.490  0.173  0.497
Si  0.527  0.150  0.831
Si  0.541  0.482  0.165
Si  0.541  0.817  0.494
Si  0.848  0.482  0.665
Si  0.853  0.816  0.000
Si  0.864  0.153  0.330
Si  0.898  0.174  0.997
Si  0.990  0.673  0.497
Sn  0.182  0.500  0.725
Sn  0.189  0.836  0.061
Sn  0.193  0.179  0.392
Sn  0.195  0.178  0.893
Sn  0.202  0.836  0.559
Sn  0.212  0.504  0.225
Sn  0.678  0.000  0.726
Sn  0.686  0.339  0.057
Sn  0.694  0.677  0.392
Sn  0.702  0.335  0.559
Sn  0.705  0.005  0.227
Sn  0.705  0.673  0.891
S  0.057  0.014  0.489
S  0.058  0.349  0.825
S  0.059  0.680  0.157
S  0.331  0.012  0.991
S  0.332  0.679  0.659
S  0.334  0.348  0.326
S  0.396  0.345  0.658
S  0.399  0.010  0.324
S  0.400  0.679  0.991
S  0.492  0.511  0.823
S  0.492  0.844  0.158
S  0.556  0.513  0.489
S  0.558  0.179  0.159
S  0.558  0.846  0.825
S  0.831  0.179  0.659
S  0.833  0.516  0.988
S  0.833  0.848  0.324
S  0.895  0.845  0.658
S  0.899  0.510  0.324
S  0.988  0.009  0.825
S  0.995  0.346  0.158
O  0.000  0.511  0.272
O  0.012  0.191  0.940
O  0.033  0.490  0.660
O  0.040  0.814  0.998
O  0.049  0.149  0.328
O  0.056  0.255  0.434
O  0.070  0.585  0.772
O  0.072  0.090  0.825
O  0.072  0.923  0.105
O  0.078  0.067  0.541
O  0.079  0.766  0.502
O  0.082  0.425  0.165
O  0.082  0.607  0.890
O  0.085  0.935  0.223
O  0.091  0.272  0.157
O  0.092  0.940  0.820
O  0.095  0.079  0.164
O  0.095  0.393  0.880
O  0.097  0.743  0.824
O  0.098  0.732  0.207
O  0.104  0.412  0.488
O  0.105  0.598  0.487
O  0.116  0.273  0.548
O  0.119  0.052  0.435
O  0.119  0.262  0.824
O  0.121  0.593  0.161
O  0.123  0.716  0.101
O  0.126  0.390  0.773
O  0.138  0.932  0.494
O  0.254  0.928  0.996
O  0.255  0.595  0.661
O  0.264  0.049  0.938
O  0.266  0.391  0.275
O  0.269  0.717  0.604
O  0.271  0.261  0.324
O  0.273  0.408  0.989
O  0.279  0.271  0.049
O  0.288  0.078  0.663
O  0.293  0.729  0.710
O  0.295  0.940  0.319
O  0.296  0.609  0.987
O  0.298  0.390  0.381
O  0.299  0.743  0.324
O  0.300  0.271  0.657
O  0.302  0.063  0.043
O  0.305  0.927  0.603
O  0.306  0.937  0.723
O  0.307  0.425  0.664
O  0.312  0.760  0.994
O  0.316  0.090  0.324
O  0.317  0.610  0.392
O  0.328  0.581  0.276
O  0.331  0.256  0.934
O  0.340  0.147  0.829
O  0.356  0.484  0.161
O  0.358  0.820  0.497
O  0.376  0.192  0.440
O  0.399  0.514  0.769
O  0.400  0.842  0.821
O  0.401  0.493  0.484
O  0.402  0.849  0.102
O  0.403  0.153  0.555
O  0.403  0.163  0.155
O  0.403  0.835  0.209
O  0.407  0.501  0.876
O  0.477  0.353  0.601
O  0.479  0.001  0.379
O  0.487  0.998  0.986
O  0.488  0.666  0.655
O  0.489  0.671  0.042
O  0.489  0.683  0.935
O  0.492  0.344  0.321
O  0.496  0.337  0.707
O  0.498  0.011  0.271
O  0.530  0.319  0.996
O  0.533  0.989  0.660
O  0.548  0.648  0.329
O  0.559  0.755  0.434
O  0.561  0.085  0.771
O  0.575  0.104  0.889
O  0.577  0.567  0.541
O  0.577  0.593  0.826
O  0.579  0.266  0.502
O  0.579  0.925  0.161
O  0.584  0.440  0.225
O  0.585  0.421  0.106
O  0.589  0.243  0.824
O  0.596  0.228  0.211
O  0.596  0.775  0.154
O  0.597  0.443  0.819
O  0.597  0.893  0.878
O  0.602  0.576  0.158
O  0.604  0.911  0.488
O  0.606  0.099  0.487
O  0.616  0.774  0.548
O  0.620  0.552  0.436
O  0.620  0.759  0.827
O  0.621  0.216  0.105
O  0.624  0.884  0.772
O  0.637  0.432  0.495
O  0.638  0.094  0.161
O  0.754  0.095  0.661
O  0.768  0.217  0.604
O  0.769  0.762  0.323
O  0.770  0.430  0.992
O  0.770  0.889  0.270
O  0.771  0.552  0.932
O  0.781  0.099  0.987
O  0.789  0.578  0.663
O  0.793  0.229  0.710
O  0.795  0.440  0.320
O  0.795  0.894  0.378
O  0.799  0.771  0.657
O  0.801  0.245  0.323
O  0.801  0.569  0.038
O  0.802  0.774  0.059
O  0.804  0.912  0.991
O  0.805  0.427  0.602
O  0.806  0.436  0.723
O  0.807  0.925  0.664
O  0.809  0.266  0.002
O  0.815  0.108  0.389
O  0.815  0.591  0.324
O  0.823  0.748  0.942
O  0.829  0.087  0.271
O  0.850  0.648  0.827
O  0.853  0.983  0.163
O  0.858  0.321  0.497
O  0.876  0.692  0.440
O  0.888  0.010  0.772
O  0.893  0.336  0.206
O  0.899  0.345  0.820
O  0.900  0.675  0.153
O  0.901  0.993  0.483
O  0.903  0.653  0.555
O  0.908  0.001  0.879
O  0.915  0.353  0.101
O  0.976  0.853  0.601
O  0.977  0.503  0.380
O  0.986  0.153  0.055
O  0.987  0.166  0.655
O  0.992  0.843  0.320
O  0.993  0.506  0.984
O  0.995  0.837  0.707

Computed properties:
energy: -6.1983 eV per atom
space group: P1
E_form: -2.379 eV/atom

***

No. 8
A relaxed structure of ZrCrCuS4. Source: the Materials Project database, functional GGA-PBE.

a = 7.217 Å, b = 7.217 Å, c = 7.217 Å
α = 120.02°, β = 119.67°, γ = 90.27°
Element x y z (fractional)
Zr  0.500  0.000  0.000
Zr  0.500  0.500  0.500
Cr  0.000  0.000  0.000
Cr  0.500  0.000  0.500
Cu  0.128  0.378  0.750
Cu  0.872  0.622  0.250
S  0.239  0.239  0.000
S  0.248  0.227  0.479
S  0.248  0.769  0.021
S  0.260  0.761  0.500
S  0.740  0.239  0.500
S  0.752  0.231  0.979
S  0.752  0.773  0.521
S  0.761  0.761  0.000

Computed properties:
energy: -6.5192 eV per atom
space group: Imma
E_form: -1.257 eV/atom
energy above the most stable polymorph in this dataset: 0 meV per atom

***

No. 9
A relaxed structure of ZnTe. Source: the Materials Project database, functional GGA-PBE.

a = 4.349 Å, b = 4.349 Å, c = 9.776 Å
α = 90.00°, β = 90.00°, γ = 120.00°
Element x y z (fractional)
Zn  0.000  0.500  0.333
Zn  0.500  0.000  0.000
Zn  0.500  0.500  0.667
Te  0.000  0.500  0.833
Te  0.500  0.000  0.500
Te  0.500  0.500  0.167

Computed properties:
energy: -2.5246 eV per atom
space group: P6_422
E_form: -0.534 eV/atom

***

No. 10
A relaxed structure of NaHo3. Source: the Materials Project database, functional GGA-PBE.

a = 5.602 Å, b = 5.602 Å, c = 5.602 Å
α = 60.00°, β = 60.00°, γ = 60.00°
Element x y z (fractional)
Na  0.000  0.000  0.000
Ho  0.250  0.250  0.250
Ho  0.500  0.500  0.500
Ho  0.750  0.750  0.750

Computed properties:
energy: -3.4524 eV per atom
space group: Fm-3m
E_form: 0.315 eV/atom
energy above the most stable polymorph in this dataset: 1 meV per atom

***

| no. | calculated density (g/cm3) |
| --- | --- |
| 1 | 4.30 |
| 2 | 6.76 |
| 3 | 7.35 |
| 4 | 5.71 |
| 5 | 3.07 |
| 6 | 3.30 |
| 7 | 2.93 |
| 8 | 4.18 |
| 9 | 6.00 |
| 10 | 6.92 |